Entry from the Materials Project: Al2Fe3O9 after structural relaxation (GGA+U).

Lattice parameters (Å, degrees): 15.1607 8.5570 9.2818 90.00 90.00 90.00
Last column: nearest neighbours and their distance in Å.
Space group Pna2_1 (No. 33)
Asymmetric unit:
Al1 0.0639 0.1573 0.0000 (multiplicity 4)  4 O 1.76-1.82
Al2 0.1078 0.3352 0.3052 (multiplicity 4)  6 O 1.85-2.00
Al3 0.1091 0.6611 0.4970 (multiplicity 4)  4 O 1.77-1.81
Al4 0.2195 0.6652 0.8023 (multiplicity 4)  5 O 1.84-1.93
Fe1 0.0547 0.4858 0.8060 (multiplicity 4)  6 O 1.91-2.10
Fe2 0.0595 0.1535 0.5742 (multiplicity 4)  5 O 1.90-1.99
Fe3 0.1050 0.6527 0.0716 (multiplicity 4)  5 O 1.92-2.06
Fe4 0.1080 0.9807 0.3053 (multiplicity 4)  5 O 1.84-1.98
Fe5 0.2204 0.0103 0.8027 (multiplicity 4)  4 O 1.80-1.99
Fe6 0.2262 0.3481 0.5880 (multiplicity 4)  5 O 1.93-2.10
O1 0.0023 0.3405 0.4354 (multiplicity 4)  1 Al 2.00, 3 Fe 2.06-2.23
O2 0.0042 0.3266 0.9447 (multiplicity 4)  2 Al 1.78-1.79
O3 0.0101 0.9986 0.4453 (multiplicity 4)  1 Al 1.82, 2 Fe 1.94-1.98
O4 0.0527 0.8298 0.1714 (multiplicity 4)  3 Fe 1.93-1.98
O5 0.0545 0.4949 0.2040 (multiplicity 4)  1 Al 1.85, 2 Fe 1.91-1.98
O6 0.0694 0.1635 0.1924 (multiplicity 4)  2 Al 1.79-1.90, 1 Fe 1.97
O7 0.1107 0.3244 0.6805 (multiplicity 4)  3 Fe 1.93-2.00
O8 0.1185 0.0018 0.6883 (multiplicity 4)  2 Fe 1.88-1.90
O9 0.1216 0.6483 0.6860 (multiplicity 4)  2 Al 1.77-1.84
O10 0.1560 0.1792 0.4302 (multiplicity 4)  1 Al 1.91, 1 Fe 1.99
O11 0.1569 0.5224 0.9263 (multiplicity 4)  2 Fe 1.92-1.94, 1 Al 1.93
O12 0.1577 0.8354 0.4269 (multiplicity 4)  1 Al 1.79, 1 Fe 1.84
O13 0.1676 0.4912 0.4308 (multiplicity 4)  2 Al 1.81-1.99
O14 0.1708 0.1467 0.9261 (multiplicity 4)  1 Al 1.76, 1 Fe 1.80
O15 0.1818 0.8184 0.9371 (multiplicity 4)  1 Al 1.90, 1 Fe 1.99
O16 0.2172 0.6639 0.1772 (multiplicity 4)  3 Fe 1.97-1.99
O17 0.2210 0.0059 0.2085 (multiplicity 4)  1 Al 1.85, 2 Fe 1.93-1.95
O18 0.2214 0.3348 0.2164 (multiplicity 4)  2 Al 1.88-1.91, 1 Fe 1.92

Summary:
ΔH_f (0 K)	-1.951	eV/atom